# GGA+U W5O14, optimized geometry
# M_tot	2.00	μB per formula unit
data_W5O14
_chemical_formula_sum 'W40 O112'
_cell_length_a 27.8731
_cell_length_b 27.8731
_cell_length_c 3.7059
_cell_angle_alpha 90.00
_cell_angle_beta 90.00
_cell_angle_gamma 90.00
_symmetry_space_group_name_H-M 'P -4 21 m'
_symmetry_Int_Tables_number 113
loop_
_symmetry_equiv_pos_as_xyz
'x,y,z'
'y,-x,-z'
'-x,-y,z'
'-y,x,-z'
'x+1/2,-y+1/2,-z'
'y+1/2,x+1/2,z'
'-x+1/2,y+1/2,-z'
'-y+1/2,-x+1/2,z'
loop_
_atom_site_label
_atom_site_fract_x
_atom_site_fract_y
_atom_site_fract_z
W1 0.0415 0.3631 0.2620
W2 0.0668 0.7116 0.2112
W3 0.0780 0.1030 0.9432
W4 0.1355 0.6355 0.4519
W5 0.1742 0.2332 0.9081
W6 0.2042 0.7042 0.1820
O1 0.0007 0.5919 0.2669
O2 0.0009 0.6951 0.2487
O3 0.0283 0.0661 0.9349
O4 0.0520 0.3481 0.7602
O5 0.0636 0.8733 0.0603
O6 0.0761 0.1282 0.4459
O7 0.0781 0.6927 0.7188
O8 0.0862 0.7704 0.2160
O9 0.1006 0.3994 0.2588
O10 0.1130 0.6130 0.0239
O11 0.1383 0.2451 0.4370
O12 0.1399 0.1822 0.0203
O13 0.1405 0.2879 0.6879
O14 0.1839 0.6839 0.7044
O15 0.2022 0.7749 0.3306
O16 0.2244 0.2756 0.1315

# GGA+U Li6VFe5O12, optimized geometry
# relative energy among the computed polymorphs	0.00	eV/f.u.
# M_tot	26.99	μB per formula unit
data_Li6VFe5O12
_chemical_formula_sum 'Li12 V2 Fe10 O24'
_cell_length_a 5.0818
_cell_length_b 8.8056
_cell_length_c 10.0972
_cell_angle_alpha 90.00
_cell_angle_beta 98.01
_cell_angle_gamma 90.00
_symmetry_space_group_name_H-M 'C 1 2 1'
_symmetry_Int_Tables_number 5
loop_
_symmetry_equiv_pos_as_xyz
'x,y,z'
'-x,y,-z'
'x+1/2,y+1/2,z'
'-x+1/2,y+1/2,-z'
loop_
_atom_site_label
_atom_site_fract_x
_atom_site_fract_y
_atom_site_fract_z
Li1 0.1078 0.0000 0.2503
Li2 0.1158 0.3319 0.2524
Li3 0.1228 0.6671 0.2581
V1 0.0000 0.4997 0.5000
Fe1 0.0000 0.1643 0.5000
Fe2 0.0000 0.3322 0.0000
Fe3 0.0000 0.6686 0.0000
Fe4 0.0000 0.8353 0.5000
Fe5 0.0000 0.9986 0.0000
O1 0.1239 0.1657 0.8904
O2 0.1339 0.8361 0.8887
O3 0.1404 0.4943 0.8934
O4 0.1930 0.9999 0.6158
O5 0.1932 0.6654 0.6138
O6 0.1937 0.3333 0.6132

# GGA+U P2WO8, optimized geometry
# relative energy among the computed polymorphs	0.00	eV/f.u.
data_P2WO8
_chemical_formula_sum 'P8 W4 O32'
_cell_length_a 16.1927
_cell_length_b 5.2456
_cell_length_c 6.9987
_cell_angle_alpha 90.00
_cell_angle_beta 101.20
_cell_angle_gamma 90.00
_symmetry_space_group_name_H-M 'C 1 2/m 1'
_symmetry_Int_Tables_number 12
loop_
_symmetry_equiv_pos_as_xyz
'x,y,z'
'-x,-y,-z'
'-x,y,-z'
'x,-y,z'
'x+1/2,y+1/2,z'
'-x+1/2,-y+1/2,-z'
'-x+1/2,y+1/2,-z'
'x+1/2,-y+1/2,z'
loop_
_atom_site_label
_atom_site_fract_x
_atom_site_fract_y
_atom_site_fract_z
P1 0.1622 0.0000 0.1163
P2 0.1639 0.0000 0.5462
W1 0.1067 0.5000 0.7996
O1 0.0021 0.5000 0.2416
O2 0.1151 0.2341 0.6097
O3 0.1200 0.2357 0.0062
O4 0.1289 0.0000 0.3142
O5 0.2444 0.5000 0.3875
O6 0.2437 0.5000 0.8586

Computed, not measured: TlVO3 after structural relaxation at the GGA+U level of DFT.

```
data_TlVO3
_chemical_formula_sum 'Tl4 V4 O12'
_cell_length_a 5.3057
_cell_length_b 11.3517
_cell_length_c 5.9208
_cell_angle_alpha 90.00
_cell_angle_beta 90.00
_cell_angle_gamma 90.00
_symmetry_space_group_name_H-M 'P b c m'
_symmetry_Int_Tables_number 57
loop_
_symmetry_equiv_pos_as_xyz
'x,y,z'
'-x,-y,-z'
'-x,-y,z+1/2'
'x,y,-z+1/2'
'x,-y+1/2,-z'
'-x,y+1/2,z'
'-x,y+1/2,-z+1/2'
'x,-y+1/2,z+1/2'
loop_
_atom_site_label
_atom_site_fract_x
_atom_site_fract_y
_atom_site_fract_z
Tl1 0.0790 0.0960 0.2500
V1 0.4584 0.6689 0.7500
O1 0.1416 0.6623 0.7500
O2 0.4271 0.0319 0.7500
O3 0.4297 0.2500 0.0000
```

The records above yield DFT formation energy values of -1.40, -1.97, -2.41, -2.01 eV/atom, respectively.
The records above yield corrected total energy (MP2020 scheme) values of -8.45, -7.06, -8.17, -7.27 eV per atom, respectively.